Li2Ni3P9O28 PBE with a Hubbard U optimized geometry; energy = -0.486 Ry/atom; space-group type = P-1
1.0
7.008 0.000 0.000
-1.465 8.891 0.000
-3.116 -3.748 7.668
Li Ni P O
2 3 9 28
direct
0.191 0.460 0.214
0.809 0.540 0.786
0.000 0.000 0.000
0.255 0.511 0.753
0.745 0.489 0.247
0.185 0.199 0.416
0.199 0.745 0.555
0.292 0.262 0.934
0.330 0.816 0.100
0.500 0.000 0.500
0.670 0.184 0.900
0.708 0.738 0.066
0.801 0.255 0.445
0.815 0.801 0.584
0.040 0.854 0.574
0.083 0.149 0.905
0.089 0.591 0.380
0.142 0.193 0.236
0.192 0.635 0.973
0.228 0.311 0.785
0.265 0.955 0.060
0.274 0.710 0.712
0.275 0.062 0.455
0.316 0.379 0.547
0.374 0.835 0.291
0.397 0.872 0.573
0.411 0.408 0.116
0.439 0.147 0.901
0.561 0.853 0.099
0.589 0.592 0.884
0.603 0.128 0.427
0.626 0.165 0.709
0.684 0.621 0.453
0.725 0.938 0.545
0.726 0.290 0.288
0.735 0.045 0.940
0.772 0.689 0.215
0.808 0.365 0.027
0.858 0.807 0.764
0.911 0.409 0.620
0.917 0.851 0.095
0.960 0.146 0.426